# 1
TcS2 | r2SCAN | optimized geometry

Properties
Energy (eV per cell): -176.84
ΔE_f (eV/atom): -0.73

Unit cell a=6.381 b=6.487 c=6.956 alpha=65.63 beta=76.93 gamma=61.07
Space group P-1 (No. 2)
Inequivalent atoms, fractional coordinates:
Tc 0.011 0.286 0.002 [2 per cell]
Tc 0.438 0.309 0.007 [2 per cell]
S 0.136 0.325 0.270 [2 per cell]
S 0.176 0.826 0.186 [2 per cell]
S 0.328 0.704 0.756 [2 per cell]
S 0.360 0.158 0.789 [2 per cell]

=====

# 2
TiTeS | r2SCAN | optimized geometry

Properties
Energy (eV per cell): -49.89
ΔE_f (eV/atom): -1.17

Unit cell a=3.6035 b=3.6035 c=6.5256 alpha=90.00 beta=90.00 gamma=120.00
Space group P3m1 (No. 156)
Inequivalent atoms, fractional coordinates:
Ti 0.0000 0.0000 0.0000 [1 per cell]
Te 0.6667 0.3333 0.7137 [1 per cell]
S 0.3333 0.6667 0.1865 [1 per cell]

=====

# 3
UTeS | r2SCAN | optimized geometry

Properties
Energy (eV per cell): -471.19
ΔE_f (eV/atom): -1.47

Unit cell a=7.729 b=4.318 c=8.949 alpha=90.00 beta=90.00 gamma=90.00
Space group Pnma (No. 62)
Inequivalent atoms, fractional coordinates:
U 0.210 0.250 0.121 [4 per cell]
Te 0.027 0.750 0.337 [4 per cell]
S 0.147 0.750 0.932 [4 per cell]

=====

# 4
Th2S5 | r2SCAN | optimized geometry

Properties
Energy (eV per cell): -804.19
ΔE_f (eV/atom): -1.99

Unit cell a=7.647 b=10.226 c=7.684 alpha=90.00 beta=90.00 gamma=90.00
Space group Pbcn (No. 60)
Inequivalent atoms, fractional coordinates:
Th 0.232 0.146 0.020 [8 per cell]
S 0.000 0.249 0.750 [4 per cell]
S 0.098 0.398 0.151 [8 per cell]
S 0.138 0.108 0.389 [8 per cell]

=====

# 5
ThS2 | r2SCAN | optimized geometry

Properties
Energy (eV per cell): -385.59
ΔE_f (eV/atom): -2.28

Unit cell a=7.289 b=4.306 c=8.642 alpha=90.00 beta=90.00 gamma=90.00
Space group Pnma (No. 62)
Inequivalent atoms, fractional coordinates:
Th 0.249 0.250 0.117 [4 per cell]
S 0.028 0.750 0.335 [4 per cell]
S 0.140 0.750 0.929 [4 per cell]

=====

# 6
ThS | r2SCAN | optimized geometry

Properties
Energy (eV per cell): -342.26
ΔE_f (eV/atom): -2.03

Unit cell a=5.723 b=5.723 c=5.723 alpha=90.00 beta=90.00 gamma=90.00
Space group Fm-3m (No. 225)
Inequivalent atoms, fractional coordinates:
Th 0.000 0.000 0.000 [4 per cell]
S 0.000 0.000 0.500 [4 per cell]

=====

# 7
Th2S3 | r2SCAN | optimized geometry

Properties
Energy (eV per cell): -728.46
ΔE_f (eV/atom): -2.21

Unit cell a=10.877 b=3.933 c=10.972 alpha=90.00 beta=90.00 gamma=90.00
Space group Pnma (No. 62)
Inequivalent atoms, fractional coordinates:
Th 0.018 0.250 0.184 [4 per cell]
Th 0.195 0.250 0.514 [4 per cell]
S 0.053 0.750 0.376 [4 per cell]
S 0.124 0.250 0.945 [4 per cell]
S 0.219 0.750 0.702 [4 per cell]

=====

# 8
Ti2S | r2SCAN | optimized geometry

Properties
Energy (eV per cell): -449.57
ΔE_f (eV/atom): -1.18

Unit cell a=11.351 b=14.002 c=3.318 alpha=90.00 beta=90.00 gamma=90.00
Space group Pnnm (No. 58)
Inequivalent atoms, fractional coordinates:
Ti 0.030 0.110 0.000 [4 per cell]
Ti 0.089 0.743 0.500 [4 per cell]
Ti 0.090 0.579 0.000 [4 per cell]
Ti 0.118 0.422 0.500 [4 per cell]
Ti 0.153 0.980 0.500 [4 per cell]
Ti 0.189 0.208 0.500 [4 per cell]
S 0.066 0.294 0.000 [4 per cell]
S 0.186 0.851 0.000 [4 per cell]
S 0.246 0.589 0.500 [4 per cell]

=====

- What is the ΔE_f in the fourth record?
  -1.99 eV/atom

=====

- energy of number 8 (Ti2S)?
  -449.57 eV per cell